1.
VASP calculation (PBE with a Hubbard U) on an optimized crystal structure of CeFeAsO.

- Magnetic moment: 6.00 μB per cell
- Calculated formation energy: -1.70 eV per atom
- Space-group type: No. 99
- E (MP2020): -7.704 eV/atom

a = 3.9923 Å, b = 3.9923 Å, c = 9.0420 Å
α = 90.00°, β = 90.00°, γ = 90.00°
Fractional positions:
As (0.5000, 0.5000, 0.3154)
As (0.0000, 0.0000, 0.6888)
Fe (0.0000, 0.5000, 0.5023)
Fe (0.5000, 0.0000, 0.5023)
Ce (0.0000, 0.0000, 0.1322)
Ce (0.5000, 0.5000, 0.8581)
O (0.5000, 0.0000, 0.9966)
O (0.0000, 0.5000, 0.9966)

2.
VASP calculation (PBE with a Hubbard U) on an optimized crystal structure of Mn2F7.

- Calculated formation energy: -2.54 eV per atom
- Space-group type: No. 4
- E (MP2020): -6.070 eV/atom

a = 5.2100 Å, b = 7.3695 Å, c = 13.0685 Å
α = 81.76°, β = 90.00°, γ = 90.00°
Fractional positions:
Mn (0.2563, 0.5256, 0.8901)
Mn (0.2636, 0.9213, 0.3205)
Mn (0.7563, 0.4744, 0.1099)
Mn (0.7700, 0.5790, 0.6798)
Mn (0.2662, 0.0256, 0.8910)
Mn (0.2700, 0.4210, 0.3202)
Mn (0.7636, 0.0787, 0.6795)
Mn (0.7662, 0.9744, 0.1090)
F (0.4429, 0.0035, 0.1963)
F (0.1581, 0.1704, 0.3212)
F (0.3652, 0.7772, 0.8829)
F (0.0401, 0.0543, 0.6074)
F (0.5790, 0.0538, 0.9896)
F (0.9635, 0.8907, 0.2284)
F (0.0380, 0.5415, 0.0256)
F (0.5380, 0.4585, 0.9744)
F (0.4745, 0.5084, 0.7609)
F (0.5617, 0.3549, 0.3807)
F (0.4635, 0.1093, 0.7716)
F (0.6562, 0.7270, 0.0992)
F (0.0686, 0.8439, 0.4266)
F (0.8676, 0.3248, 0.6967)
F (0.9499, 0.5922, 0.8140)
F (0.5686, 0.1561, 0.5734)
F (0.0617, 0.6451, 0.6193)
F (0.3676, 0.6752, 0.3033)
F (0.9745, 0.4916, 0.2391)
F (0.1562, 0.2730, 0.9008)
F (0.0790, 0.9462, 0.0104)
F (0.5401, 0.9457, 0.3926)
F (0.0995, 0.4347, 0.4336)
F (0.4499, 0.4078, 0.1860)
F (0.5995, 0.5653, 0.5664)
F (0.6581, 0.8296, 0.6788)
F (0.8652, 0.2228, 0.1171)
F (0.9429, 0.9965, 0.8037)

3.
VASP calculation (PBE with a Hubbard U) on an optimized crystal structure of La7SmMn8O20.

- Magnetic moment: 159.02 μB per cell
- Calculated formation energy: -2.93 eV per atom
- Space-group type: No. 1
- E (MP2020): -8.804 eV/atom

a = 11.5189 Å, b = 11.8684 Å, c = 17.7498 Å
α = 109.50°, β = 109.00°, γ = 89.99°
Fractional positions:
O (0.4645, 0.8772, 0.8594)
O (0.4255, 0.0652, 0.2501)
O (0.3847, 0.4003, 0.0311)
O (0.1059, 0.6226, 0.6417)
O (0.6102, 0.6149, 0.9718)
O (0.8594, 0.6068, 0.4731)
O (0.3594, 0.6066, 0.4733)
O (0.2187, 0.2322, 0.8592)
O (0.2150, 0.7315, 0.3581)
O (0.8843, 0.3929, 0.0252)
O (0.3606, 0.1084, 0.9741)
O (0.6335, 0.3815, 0.0246)
O (0.6149, 0.1229, 0.1423)
O (0.6734, 0.4332, 0.2495)
O (0.2118, 0.2280, 0.3567)
O (0.1365, 0.3835, 0.5268)
O (0.6391, 0.8860, 0.0293)
O (0.1741, 0.4328, 0.2499)
O (0.4723, 0.3780, 0.8581)
O (0.8861, 0.3932, 0.5265)
O (0.6358, 0.3831, 0.5265)
O (0.6090, 0.1161, 0.4723)
O (0.3592, 0.6074, 0.9738)
O (0.9247, 0.0681, 0.7506)
O (0.1088, 0.1161, 0.4722)
O (0.9659, 0.8777, 0.8601)
O (0.9641, 0.3768, 0.3583)
O (0.2140, 0.7317, 0.8594)
O (0.9239, 0.5665, 0.7506)
O (0.3587, 0.1060, 0.4727)
O (0.6745, 0.9333, 0.7498)
O (0.1759, 0.4327, 0.7504)
O (0.7145, 0.2312, 0.3582)
O (0.8541, 0.2699, 0.6422)
O (0.6065, 0.6211, 0.6427)
O (0.6092, 0.1163, 0.9734)
O (0.1059, 0.1226, 0.6413)
O (0.1339, 0.8813, 0.0317)
O (0.9258, 0.5662, 0.2496)
O (0.6133, 0.6245, 0.1418)
O (0.3601, 0.7654, 0.1418)
O (0.3560, 0.7691, 0.6416)
O (0.8584, 0.1050, 0.9750)
O (0.1358, 0.8832, 0.5254)
O (0.8596, 0.1073, 0.4738)
O (0.8564, 0.7692, 0.6418)
O (0.7153, 0.2334, 0.8593)
O (0.3855, 0.3916, 0.5248)
O (0.4175, 0.5683, 0.2443)
O (0.8675, 0.7663, 0.1423)
O (0.7166, 0.7337, 0.8598)
O (0.1744, 0.9329, 0.7502)
O (0.8557, 0.2664, 0.1406)
O (0.1088, 0.6168, 0.4728)
O (0.8548, 0.6021, 0.9698)
O (0.6365, 0.8839, 0.5264)
O (0.1383, 0.3868, 0.0298)
O (0.6738, 0.4322, 0.7561)
O (0.4240, 0.5681, 0.7500)
O (0.8856, 0.8922, 0.5249)
O (0.7116, 0.7299, 0.3573)
O (0.4638, 0.3781, 0.3573)
O (0.9691, 0.3767, 0.8591)
O (0.1125, 0.6258, 0.1416)
O (0.3571, 0.2689, 0.6414)
O (0.3844, 0.8943, 0.0267)
O (0.4617, 0.8772, 0.3580)
O (0.1104, 0.1255, 0.1422)
O (0.6058, 0.1232, 0.6412)
O (0.1096, 0.6179, 0.9757)
O (0.3599, 0.2668, 0.1421)
O (0.1679, 0.9278, 0.2446)
O (0.1086, 0.1175, 0.9735)
O (0.9640, 0.8776, 0.3567)
O (0.8886, 0.8972, 0.0339)
O (0.9173, 0.0681, 0.2446)
O (0.6092, 0.6172, 0.4738)
O (0.3868, 0.8929, 0.5270)
O (0.6754, 0.9320, 0.2500)
O (0.4248, 0.0678, 0.7502)
Mn (0.5010, 0.4998, 0.4997)
Mn (0.0010, 0.0001, 0.4995)
Mn (0.3561, 0.4011, 0.2479)
Mn (0.7524, 0.7509, 0.0012)
Mn (0.2509, 0.7497, 0.4995)
Mn (0.5013, 0.5014, 0.0014)
Mn (0.3591, 0.4006, 0.7507)
Mn (0.7509, 0.2500, 0.5001)
Mn (0.2505, 0.2494, 0.4993)
Mn (0.1026, 0.0972, 0.2471)
Mn (0.2502, 0.7507, 0.0010)
Mn (0.0006, 0.5009, 0.0007)
Mn (0.0010, 0.4996, 0.4995)
Mn (0.0009, 0.9990, 0.0015)
Mn (0.7506, 0.7498, 0.4994)
Mn (0.6036, 0.5990, 0.2475)
Mn (0.8579, 0.9007, 0.7509)
Mn (0.6082, 0.0989, 0.2490)
Mn (0.6085, 0.5995, 0.7525)
Mn (0.1074, 0.5994, 0.7506)
Mn (0.7509, 0.2497, 0.0007)
Mn (0.8558, 0.4003, 0.7520)
Mn (0.1079, 0.6002, 0.2485)
Mn (0.3576, 0.9008, 0.7504)
Mn (0.6078, 0.1010, 0.7505)
Mn (0.2518, 0.2518, 0.0014)
Mn (0.8570, 0.8996, 0.2467)
Mn (0.1080, 0.1009, 0.7508)
Mn (0.8565, 0.3991, 0.2490)
Mn (0.5016, 0.0001, 0.0009)
Mn (0.5006, 0.9998, 0.4995)
Mn (0.3539, 0.8978, 0.2481)
La (0.1843, 0.9349, 0.3866)
La (0.5453, 0.7976, 0.1124)
La (0.4355, 0.7021, 0.8888)
La (0.7980, 0.5648, 0.1111)
La (0.9357, 0.7020, 0.8892)
La (0.5472, 0.2959, 0.1113)
La (0.9339, 0.2016, 0.3865)
La (0.4358, 0.2031, 0.3884)
La (0.0471, 0.7966, 0.6112)
La (0.4384, 0.2042, 0.8886)
La (0.9337, 0.2035, 0.8887)
La (0.1858, 0.4359, 0.8896)
La (0.1865, 0.9367, 0.8887)
La (0.7973, 0.0648, 0.6115)
La (0.1856, 0.4340, 0.3878)
La (0.4340, 0.7022, 0.3864)
La (0.2975, 0.5647, 0.6115)
La (0.0461, 0.2970, 0.1116)
La (0.7975, 0.5645, 0.6118)
La (0.5475, 0.7960, 0.6111)
La (0.6853, 0.9350, 0.3881)
La (0.2975, 0.0640, 0.6109)
La (0.9351, 0.7030, 0.3875)
La (0.0472, 0.2975, 0.6116)
La (0.5478, 0.2984, 0.6134)
La (0.6855, 0.4355, 0.3881)
La (0.6850, 0.9362, 0.8887)
La (0.2956, 0.0644, 0.1127)
Sm (0.6843, 0.4348, 0.8903)
Sm (0.0467, 0.7962, 0.1117)
Sm (0.7952, 0.0651, 0.1104)
Sm (0.2927, 0.5661, 0.1107)

4.
VASP calculation (PBE with a Hubbard U) on an optimized crystal structure of LiCoPO4.

- Magnetic moment: 0.00 μB per cell
- Calculated formation energy: -2.41 eV per atom
- Maximum piezoelectric response: 0.06 C/m2
- Space-group type: No. 33
- E (MP2020): -7.294 eV/atom

a = 5.0363 Å, b = 10.1946 Å, c = 6.8004 Å
α = 90.00°, β = 90.00°, γ = 90.00°
Fractional positions:
Co (0.1868, 0.3453, 0.7154)
Co (0.6869, 0.1547, 0.2154)
Co (0.3132, 0.8453, 0.7154)
Co (0.8132, 0.6547, 0.2155)
O (0.1214, 0.8832, 0.4652)
O (0.8005, 0.3391, 0.2746)
O (0.7558, 0.5531, 0.4606)
O (0.8016, 0.3397, 0.6506)
O (0.2558, 0.9469, 0.9606)
O (0.3016, 0.1604, 0.1505)
O (0.6214, 0.6168, 0.9652)
O (0.1982, 0.6604, 0.1506)
O (0.3006, 0.1610, 0.7745)
O (0.7441, 0.0529, 0.4607)
O (0.6983, 0.8396, 0.6506)
O (0.1996, 0.6611, 0.7745)
O (0.6996, 0.8389, 0.2745)
O (0.2441, 0.4470, 0.9607)
O (0.8787, 0.1167, 0.9651)
O (0.3786, 0.3833, 0.4652)
Li (0.8128, 0.6541, 0.7129)
Li (0.1872, 0.3459, 0.2129)
Li (0.6872, 0.1541, 0.7129)
Li (0.3128, 0.8459, 0.2129)
P (0.3154, 0.5953, 0.9626)
P (0.1847, 0.0951, 0.9625)
P (0.6846, 0.4049, 0.4626)
P (0.8154, 0.9047, 0.4626)

5.
VASP calculation (PBE with a Hubbard U) on an optimized crystal structure of Ti5NiP6O24.

- Calculated formation energy: -2.86 eV per atom
- Space-group type: No. 146
- E (MP2020): -8.313 eV/atom

a = 8.4032 Å, b = 8.4032 Å, c = 8.4032 Å
α = 62.49°, β = 62.49°, γ = 62.49°
Fractional positions:
Ti (0.3583, 0.3583, 0.3583)
Ti (0.4992, 0.4992, 0.4992)
Ti (0.1407, 0.1407, 0.1407)
Ti (0.0002, 0.0002, 0.0002)
Ti (0.6409, 0.6409, 0.6409)
O (0.9036, 0.0574, 0.2557)
O (0.4038, 0.7576, 0.5563)
O (0.7576, 0.5563, 0.4038)
O (0.4938, 0.3270, 0.1122)
O (0.8855, 0.5008, 0.6788)
O (0.0574, 0.2557, 0.9036)
O (0.2557, 0.9036, 0.0574)
O (0.1771, 0.9996, 0.3863)
O (0.5008, 0.6788, 0.8855)
O (0.9463, 0.7441, 0.0989)
O (0.4350, 0.5943, 0.2445)
O (0.1122, 0.4938, 0.3270)
O (0.0137, 0.6089, 0.8198)
O (0.0989, 0.9463, 0.7441)
O (0.5943, 0.2445, 0.4350)
O (0.9996, 0.3863, 0.1771)
O (0.2445, 0.4350, 0.5943)
O (0.3863, 0.1771, 0.9996)
O (0.6089, 0.8198, 0.0137)
O (0.8198, 0.0137, 0.6089)
O (0.7441, 0.0989, 0.9463)
O (0.3270, 0.1122, 0.4938)
O (0.6788, 0.8855, 0.5008)
O (0.5563, 0.4038, 0.7576)
P (0.4591, 0.7508, 0.0434)
P (0.9567, 0.5455, 0.2469)
P (0.5455, 0.2469, 0.9567)
P (0.0434, 0.4591, 0.7508)
P (0.2469, 0.9567, 0.5455)
P (0.7508, 0.0434, 0.4591)
Ni (0.8572, 0.8572, 0.8572)

6.
VASP calculation (PBE with a Hubbard U) on an optimized crystal structure of LiV2NiO6.

- Magnetic moment: 6.00 μB per cell
- Calculated formation energy: -2.12 eV per atom
- Space-group type: No. 15
- E (MP2020): -7.679 eV/atom

a = 6.8347 Å, b = 6.8347 Å, c = 5.7368 Å
α = 74.57°, β = 74.57°, γ = 83.09°
Fractional positions:
O (0.6307, 0.6469, 0.0666)
O (0.3693, 0.3531, 0.9334)
O (0.3531, 0.3693, 0.4334)
O (0.2015, 0.0172, 0.3546)
O (0.6469, 0.6307, 0.5666)
O (0.0172, 0.2015, 0.8546)
O (0.9828, 0.7985, 0.1454)
O (0.7985, 0.9828, 0.6454)
O (0.9039, 0.3610, 0.3217)
O (0.3610, 0.9039, 0.8217)
O (0.0961, 0.6390, 0.6783)
O (0.6390, 0.0961, 0.1783)
V (0.8039, 0.6081, 0.2661)
V (0.3919, 0.1961, 0.2339)
V (0.1961, 0.3919, 0.7339)
V (0.6081, 0.8039, 0.7661)
Ni (0.9162, 0.0838, 0.2500)
Ni (0.0838, 0.9162, 0.7500)
Li (0.2465, 0.7535, 0.2500)
Li (0.7535, 0.2465, 0.7500)

7.
VASP calculation (PBE with a Hubbard U) on an optimized crystal structure of V4SnO12.

- Magnetic moment: 0.00 μB per cell
- Calculated formation energy: -2.23 eV per atom
- Space-group type: No. 5
- E (MP2020): -8.098 eV/atom

a = 6.9248 Å, b = 6.9248 Å, c = 5.9852 Å
α = 74.50°, β = 74.50°, γ = 83.01°
Fractional positions:
V (0.7952, 0.6131, 0.0111)
V (0.6092, 0.7877, 0.5241)
V (0.3869, 0.2048, 0.9889)
V (0.2123, 0.3908, 0.4759)
O (0.6499, 0.6507, 0.3044)
O (0.9734, 0.7889, 0.8558)
O (0.0968, 0.6284, 0.4422)
O (0.6407, 0.6286, 0.8009)
O (0.0436, 0.2087, 0.5551)
O (0.9099, 0.3927, 0.0544)
O (0.3493, 0.3501, 0.6956)
O (0.3714, 0.3593, 0.1991)
O (0.3716, 0.9032, 0.5578)
O (0.2111, 0.0266, 0.1442)
O (0.6073, 0.0901, 0.9456)
O (0.7913, 0.9564, 0.4449)
Sn (0.0821, 0.9179, 0.5000)

8.
VASP calculation (PBE with a Hubbard U) on an optimized crystal structure of Ti3V2CuP6O24.

- Magnetic moment: 5.03 μB per cell
- Calculated formation energy: -2.77 eV per atom
- Space-group type: No. 146
- E (MP2020): -8.248 eV/atom

a = 8.5299 Å, b = 8.5299 Å, c = 8.5299 Å
α = 61.20°, β = 61.20°, γ = 61.20°
Fractional positions:
O (0.4950, 0.1186, 0.3137)
O (0.6687, 0.5164, 0.8884)
O (0.4450, 0.2401, 0.5877)
O (0.1186, 0.3137, 0.4950)
O (0.4102, 0.5713, 0.7585)
O (0.9982, 0.8162, 0.6186)
O (0.1824, 0.3960, 0.9803)
O (0.9416, 0.0908, 0.7439)
O (0.3960, 0.9803, 0.1824)
O (0.9803, 0.1824, 0.3960)
O (0.7585, 0.4102, 0.5713)
O (0.8884, 0.6687, 0.5164)
O (0.5164, 0.8884, 0.6687)
O (0.5877, 0.4450, 0.2401)
O (0.7439, 0.9416, 0.0908)
O (0.9007, 0.2641, 0.0506)
O (0.6186, 0.9982, 0.8162)
O (0.3137, 0.4950, 0.1186)
O (0.2641, 0.0506, 0.9007)
O (0.2401, 0.5877, 0.4450)
O (0.5713, 0.7585, 0.4102)
O (0.0506, 0.9007, 0.2641)
O (0.8162, 0.6186, 0.9982)
O (0.0908, 0.7439, 0.9416)
P (0.0447, 0.7489, 0.4564)
P (0.5444, 0.9536, 0.2476)
P (0.9536, 0.2476, 0.5444)
P (0.2476, 0.5444, 0.9536)
P (0.4564, 0.0447, 0.7489)
P (0.7489, 0.4564, 0.0447)
V (0.5016, 0.5016, 0.5016)
V (0.0026, 0.0026, 0.0026)
Cu (0.1465, 0.1465, 0.1465)
Ti (0.8570, 0.8570, 0.8570)
Ti (0.6453, 0.6453, 0.6453)
Ti (0.3544, 0.3544, 0.3544)